1.
The following is a PBE calculation of NaNdZrTiO6 after structural relaxation, from Materials Project.

```
data_NaNdZrTiO6
_chemical_formula_sum 'Na1 Nd1 Zr1 Ti1 O6'
_cell_length_a 5.6841
_cell_length_b 5.6841
_cell_length_c 5.6841
_cell_angle_alpha 60.00
_cell_angle_beta 60.00
_cell_angle_gamma 60.00
_symmetry_space_group_name_H-M 'P 1'
_symmetry_Int_Tables_number 1
loop_
_symmetry_equiv_pos_as_xyz
'x,y,z'
loop_
_atom_site_label
_atom_site_type_symbol
_atom_site_fract_x
_atom_site_fract_y
_atom_site_fract_z
Na1 Na 0.0000 0.0000 0.0000
Nd1 Nd 0.5000 0.5000 0.5000
Zr1 Zr 0.7500 0.7500 0.7500
Ti1 Ti 0.2500 0.2500 0.2500
O1 O 0.0082 0.0082 0.4918
O2 O 0.0082 0.4918 0.0082
O3 O 0.0082 0.4918 0.4918
O4 O 0.4918 0.0082 0.0082
O5 O 0.4918 0.0082 0.4918
O6 O 0.4918 0.4918 0.0082
```

Values from the calculation:
As for the space-group type: F-43m (216). The crystal system is cubic. The calculated volume comes out at 129.9 Å³/cell. Its total magnetization is 0.0 μB per cell. Its calculated density is 5.14 g/cm³. For the formation energy, the calculation gives -3337.6 meV per atom.

2.
The following is a PBE calculation of RbCoBr3 after structural relaxation, from Materials Project.

```
data_RbCoBr3
_chemical_formula_sum 'Rb6 Co6 Br18'
_cell_length_a 13.0555
_cell_length_b 13.0555
_cell_length_c 6.2304
_cell_angle_alpha 90.00
_cell_angle_beta 90.00
_cell_angle_gamma 120.00
_symmetry_space_group_name_H-M 'P 1'
_symmetry_Int_Tables_number 1
loop_
_symmetry_equiv_pos_as_xyz
'x,y,z'
loop_
_atom_site_label
_atom_site_type_symbol
_atom_site_fract_x
_atom_site_fract_y
_atom_site_fract_z
Rb1 Rb 0.0000 0.3341 0.0000
Rb2 Rb 0.0000 0.6659 0.5000
Rb3 Rb 0.3341 0.0000 0.0000
Rb4 Rb 0.3341 0.3341 0.5000
Rb5 Rb 0.6659 0.0000 0.5000
Rb6 Rb 0.6659 0.6659 0.0000
Co1 Co 0.0000 0.0000 0.2828
Co2 Co 0.0000 0.0000 0.7828
Co3 Co 0.3333 0.6667 0.2292
Co4 Co 0.3333 0.6667 0.7292
Co5 Co 0.6667 0.3333 0.2292
Co6 Co 0.6667 0.3333 0.7292
Br1 Br 0.0000 0.1575 0.5345
Br2 Br 0.0000 0.8425 0.0345
Br3 Br 0.1575 0.0000 0.5345
Br4 Br 0.1575 0.1575 0.0345
Br5 Br 0.1760 0.5088 0.4788
Br6 Br 0.1760 0.6672 0.9788
Br7 Br 0.3328 0.5088 0.9788
Br8 Br 0.3328 0.8240 0.4788
Br9 Br 0.4912 0.6672 0.4788
Br10 Br 0.4912 0.8240 0.9788
Br11 Br 0.5088 0.1760 0.4788
Br12 Br 0.5088 0.3328 0.9788
Br13 Br 0.6672 0.1760 0.9788
Br14 Br 0.6672 0.4912 0.4788
Br15 Br 0.8240 0.3328 0.4788
Br16 Br 0.8240 0.4912 0.9788
Br17 Br 0.8425 0.0000 0.0345
Br18 Br 0.8425 0.8425 0.5345
```

Values from the calculation:
As for the space-group type: P6_3cm (185). The crystal system is hexagonal. The calculated volume comes out at 919.7 Å³/cell. Its total magnetization is 4.0 μB per cell. Its calculated density is 4.16 g/cm³. For the formation energy, the calculation gives -1054.0 meV per atom.